1.
# CaCuBi, optimized geometry, DFT GGA-PBE
data_CaCuBi
_symmetry_space_group_name_H-M 'P 63/m m c'
_symmetry_Int_Tables_number 194
_symmetry_space_group_name_Hall '-P 6c 2c'
_cell_length_a 4.6124
_cell_length_b 4.6124
_cell_length_c 8.2988
_cell_angle_alpha 90.00
_cell_angle_beta 90.00
_cell_angle_gamma 120.00
loop_
_atom_site_label
_atom_site_type_symbol
_atom_site_fract_x
_atom_site_fract_y
_atom_site_fract_z
_atom_site_occupancy
Ca1 Ca 0.0000 0.0000 0.0000 1
Cu1 Cu 0.3333 0.6667 0.2500 1
Bi1 Bi 0.3333 0.6667 0.7500 1
# Spin magnetization in Bohr magnetons per cell: 0.0
# DFT total energy in Ry/atom: -0.2788

=====

2.
# CaCuBi2O7, optimized geometry, DFT GGA-PBE
data_CaCuBi2O7
_symmetry_space_group_name_H-M 'P 1 2/c 1'
_symmetry_Int_Tables_number 13
_cell_length_a 10.4001
_cell_length_b 9.1480
_cell_length_c 11.5346
_cell_angle_alpha 90.00
_cell_angle_beta 96.46
_cell_angle_gamma 90.00
loop_
_symmetry_equiv_pos_as_xyz
'x,y,z'
'-x,-y,-z'
'-x,y,-z+1/2'
'x,-y,z+1/2'
loop_
_atom_site_label
_atom_site_type_symbol
_atom_site_fract_x
_atom_site_fract_y
_atom_site_fract_z
_atom_site_occupancy
Ca1 Ca 0.0000 0.0339 0.2500 1
Ca2 Ca 0.3253 0.4757 0.9169 1
Cu1 Cu 0.0000 0.4026 0.2500 1
Cu2 Cu 0.2834 0.0990 0.9085 1
Bi1 Bi 0.0055 0.3015 0.5252 1
Bi2 Bi 0.3152 0.1850 0.1878 1
Bi3 Bi 0.3573 0.2253 0.6189 1
O1 O 0.0325 0.1118 0.6068 1
O2 O 0.0475 0.2547 0.1522 1
O3 O 0.0590 0.4794 0.8801 1
O4 O 0.2047 0.3541 0.5382 1
O5 O 0.2260 0.0534 0.3054 1
O6 O 0.2464 0.2535 0.0054 1
O7 O 0.3138 0.3882 0.2538 1
O8 O 0.3317 0.0044 0.5516 1
O9 O 0.3467 0.2314 0.8020 1
O10 O 0.4658 0.3746 0.5392 1
O11 O 0.5000 0.1020 0.2500 1
# Spin magnetization in Bohr magnetons per cell: 0.0
# DFT total energy in Ry/atom: -0.4016

=====

3.
# Sr4CaYCu4Bi2Pb2O16, optimized geometry, DFT GGA-PBE
data_Sr4CaYCu4Bi2Pb2O16
_symmetry_space_group_name_H-M 'P 1 2/c 1'
_symmetry_Int_Tables_number 13
_cell_length_a 5.4621
_cell_length_b 5.3931
_cell_length_c 32.0340
_cell_angle_alpha 90.00
_cell_angle_beta 99.66
_cell_angle_gamma 90.00
loop_
_symmetry_equiv_pos_as_xyz
'x,y,z'
'-x,-y,-z'
'-x,y,-z+1/2'
'x,-y,z+1/2'
loop_
_atom_site_label
_atom_site_type_symbol
_atom_site_fract_x
_atom_site_fract_y
_atom_site_fract_z
_atom_site_occupancy
Sr1 Sr 0.1052 0.0367 0.3606 1
Sr2 Sr 0.3850 0.4620 0.6382 1
Ca1 Ca 0.0000 0.0357 0.2500 1
Y1 Y 0.5000 0.4640 0.7500 1
Cu1 Cu 0.0523 0.4614 0.8028 1
Cu2 Cu 0.4441 0.0387 0.1952 1
Bi1 Bi 0.2194 0.4991 0.9462 1
Pb1 Pb 0.3138 0.0136 0.0529 1
O1 O 0.0946 0.4483 0.8804 1
O2 O 0.1996 0.2853 0.2038 1
O3 O 0.2155 0.2237 0.7038 1
O4 O 0.2712 0.1126 0.4387 1
O5 O 0.2960 0.2076 0.7997 1
O6 O 0.3127 0.3021 0.2996 1
O7 O 0.3371 0.0458 0.1225 1
O8 O 0.4094 0.4096 0.5594 1
# Spin magnetization in Bohr magnetons per cell: 0.1
# DFT total energy in Ry/atom: -0.4398

=====

4.
# Sr2CaCu2Bi2O8, optimized geometry, DFT GGA-PBE
data_Sr2CaCu2Bi2O8
_symmetry_space_group_name_H-M 'C c c 2'
_symmetry_Int_Tables_number 37
_cell_length_a 5.4729
_cell_length_b 31.7599
_cell_length_c 5.4171
_cell_angle_alpha 90.00
_cell_angle_beta 90.00
_cell_angle_gamma 90.00
loop_
_symmetry_equiv_pos_as_xyz
'x,y,z'
'-x,-y,z'
'-x,y,z+1/2'
'x,-y,z+1/2'
'x+1/2,y+1/2,z'
'-x+1/2,-y+1/2,z'
'-x+1/2,y+1/2,z+1/2'
'x+1/2,-y+1/2,z+1/2'
loop_
_atom_site_label
_atom_site_type_symbol
_atom_site_fract_x
_atom_site_fract_y
_atom_site_fract_z
_atom_site_occupancy
Sr1 Sr 0.2488 0.1442 0.0000 1
Ca1 Ca 0.2500 0.2500 0.9956 1
Cu1 Cu 0.2501 0.2012 0.4968 1
Bi1 Bi 0.2233 0.4485 0.5532 1
O1 O 0.0000 0.1990 0.2470 1
O2 O 0.0002 0.3011 0.2467 1
O3 O 0.1650 0.4466 0.9576 1
O4 O 0.2409 0.1156 0.5104 1
# Spin magnetization in Bohr magnetons per cell: 0.0
# Excess energy over the best structure of this formula in the dataset in meV/atom: 0.0
# DFT total energy in Ry/atom: -0.4242

=====

5.
# Sr2Ca2Cu3Bi2O10, optimized geometry, DFT GGA-PBE
data_Sr2Ca2Cu3Bi2O10
_symmetry_space_group_name_H-M 'I 4/m m m'
_symmetry_Int_Tables_number 139
_symmetry_space_group_name_Hall '-I 4 2'
_cell_length_a 3.7792
_cell_length_b 3.7792
_cell_length_c 37.6346
_cell_angle_alpha 90.00
_cell_angle_beta 90.00
_cell_angle_gamma 90.00
loop_
_atom_site_label
_atom_site_type_symbol
_atom_site_fract_x
_atom_site_fract_y
_atom_site_fract_z
_atom_site_occupancy
Sr1 Sr 0.0000 0.0000 0.1345 1
Ca1 Ca 0.0000 0.0000 0.0434 1
Cu1 Cu 0.0000 0.0000 0.4151 1
Cu2 Cu 0.0000 0.0000 0.5000 1
Bi1 Bi 0.0000 0.0000 0.2889 1
O1 O 0.0000 0.0000 0.2110 1
O2 O 0.0000 0.0000 0.3440 1
O3 O 0.0000 0.5000 0.0000 1
O4 O 0.0000 0.5000 0.0861 1
# Spin magnetization in Bohr magnetons per cell: 0.0
# DFT total energy in Ry/atom: -0.4217

=====

6.
# SrCa2Cu2Bi2O8, optimized geometry, DFT GGA-PBE
data_SrCa2Cu2Bi2O8
_symmetry_space_group_name_H-M 'C c c m'
_symmetry_Int_Tables_number 66
_symmetry_space_group_name_Hall '-C 2 2c'
_cell_length_a 5.5031
_cell_length_b 31.2204
_cell_length_c 5.2596
_cell_angle_alpha 90.00
_cell_angle_beta 90.00
_cell_angle_gamma 90.00
loop_
_atom_site_label
_atom_site_type_symbol
_atom_site_fract_x
_atom_site_fract_y
_atom_site_fract_z
_atom_site_occupancy
Sr1 Sr 0.2500 0.2500 0.0000 1
Ca1 Ca 0.2343 0.1423 0.0000 1
Cu1 Cu 0.2478 0.3079 0.5000 1
Bi1 Bi 0.2194 0.0490 0.5000 1
O1 O 0.0000 0.1934 0.2500 1
O2 O 0.0000 0.3101 0.2500 1
O3 O 0.1734 0.0476 0.0000 1
O4 O 0.2239 0.1147 0.5000 1
# Spin magnetization in Bohr magnetons per cell: 0.0
# DFT total energy in Ry/atom: -0.4210

=====

7.
# Sr2CaCu2Bi2O10, optimized geometry, DFT GGA-PBE
data_Sr2CaCu2Bi2O10
_symmetry_space_group_name_H-M 'P 4 m m'
_symmetry_Int_Tables_number 99
_cell_length_a 3.7894
_cell_length_b 3.7894
_cell_length_c 31.1313
_cell_angle_alpha 90.00
_cell_angle_beta 90.00
_cell_angle_gamma 90.00
loop_
_symmetry_equiv_pos_as_xyz
'x,y,z'
'-y,x,z'
'-x,-y,z'
'y,-x,z'
'-x,y,z'
'y,x,z'
'x,-y,z'
'-y,-x,z'
loop_
_atom_site_label
_atom_site_type_symbol
_atom_site_fract_x
_atom_site_fract_y
_atom_site_fract_z
_atom_site_occupancy
Sr1 Sr 0.0000 0.0000 0.0000 1
Sr2 Sr 0.0000 0.0000 0.1175 1
Sr3 Sr 0.0000 0.0000 0.8823 1
Sr4 Sr 0.5000 0.5000 0.3878 1
Ca1 Ca 0.5000 0.5000 0.5013 1
Ca2 Ca 0.5000 0.5000 0.6122 1
Cu1 Cu 0.0000 0.0000 0.4420 1
Cu2 Cu 0.0000 0.0000 0.5616 1
Cu3 Cu 0.5000 0.5000 0.0645 1
Cu4 Cu 0.5000 0.5000 0.9352 1
Bi1 Bi 0.0000 0.0000 0.2961 1
Bi2 Bi 0.0000 0.0000 0.7024 1
Bi3 Bi 0.5000 0.5000 0.2093 1
Bi4 Bi 0.5000 0.5000 0.7900 1
O1 O 0.0000 0.0000 0.1933 1
O2 O 0.0000 0.0000 0.3701 1
O3 O 0.0000 0.0000 0.6292 1
O4 O 0.0000 0.0000 0.8062 1
O5 O 0.0000 0.5000 0.0559 1
O6 O 0.0000 0.5000 0.2527 1
O7 O 0.0000 0.5000 0.4509 1
O8 O 0.0000 0.5000 0.5526 1
O9 O 0.0000 0.5000 0.7456 1
O10 O 0.0000 0.5000 0.9442 1
O11 O 0.5000 0.5000 0.1355 1
O12 O 0.5000 0.5000 0.3122 1
O13 O 0.5000 0.5000 0.6831 1
O14 O 0.5000 0.5000 0.8648 1
# Spin magnetization in Bohr magnetons per cell: 0.4
# DFT total energy in Ry/atom: -0.4083

=====

8.
# Sr2CaCu2Bi2O8, optimized geometry, DFT GGA-PBE
data_Sr2CaCu2Bi2O8
_symmetry_space_group_name_H-M 'I 4/m m m'
_symmetry_Int_Tables_number 139
_symmetry_space_group_name_Hall '-I 4 2'
_cell_length_a 3.7525
_cell_length_b 3.7525
_cell_length_c 31.8168
_cell_angle_alpha 90.00
_cell_angle_beta 90.00
_cell_angle_gamma 90.00
loop_
_atom_site_label
_atom_site_type_symbol
_atom_site_fract_x
_atom_site_fract_y
_atom_site_fract_z
_atom_site_occupancy
Sr1 Sr 0.0000 0.0000 0.1079 1
Ca1 Ca 0.0000 0.0000 0.0000 1
Cu1 Cu 0.0000 0.0000 0.4520 1
Bi1 Bi 0.0000 0.0000 0.3019 1
O1 O 0.0000 0.0000 0.1970 1
O2 O 0.0000 0.0000 0.3669 1
O3 O 0.0000 0.5000 0.0503 1
# Spin magnetization in Bohr magnetons per cell: 0.0
# Excess energy over the best structure of this formula in the dataset in meV/atom: 41.1
# DFT total energy in Ry/atom: -0.4212